Entry 1:
Computed, not measured: crystalline Ti2CoP2O10 at its relaxed geometry at the GGA+U level of DFT.

- Energy with MP2020 corrections: -8.438 eV per atom

a b c (Å): 7.495 10.531 10.528
angles (deg): 90.17 110.83 110.83
Element x y z (fractional)
Ti (0.708, 0.098, 0.375)
O (0.324, 0.546, 0.538)
O (0.676, 0.954, 0.962)
O (0.088, 0.948, 0.699)
Ti (0.292, 0.402, 0.125)
O (0.000, 0.286, 0.445)
O (0.073, 0.432, 0.697)
O (0.824, 0.039, 0.546)
Ti (0.293, 0.902, 0.625)
P (0.996, 0.435, 0.814)
O (0.000, 0.714, 0.555)
O (0.817, 0.797, 0.301)
P (0.496, 0.814, 0.936)
O (0.927, 0.568, 0.303)
P (0.996, 0.936, 0.314)
O (0.412, 0.302, 0.552)
Co (0.000, 0.250, 0.250)
O (0.499, 0.555, 0.214)
P (0.004, 0.564, 0.186)
O (0.183, 0.703, 0.199)
O (0.912, 0.552, 0.801)
O (0.500, 0.445, 0.786)
P (0.504, 0.686, 0.564)
O (0.000, 0.214, 0.055)
O (0.573, 0.197, 0.432)
O (0.183, 0.203, 0.699)
O (0.817, 0.297, 0.801)
O (0.427, 0.802, 0.567)
O (0.427, 0.303, 0.068)
O (0.824, 0.539, 0.046)
O (0.176, 0.461, 0.954)
Ti (0.792, 0.125, 0.902)
Ti (0.707, 0.598, 0.875)
P (0.004, 0.065, 0.686)
Co (0.500, 0.750, 0.250)
O (0.073, 0.932, 0.197)
Ti (0.208, 0.375, 0.598)
O (0.683, 0.199, 0.203)
O (0.412, 0.802, 0.052)
O (0.317, 0.301, 0.297)
O (0.317, 0.801, 0.797)
O (0.927, 0.068, 0.803)
O (0.912, 0.052, 0.302)
O (0.573, 0.698, 0.933)
O (0.588, 0.198, 0.948)
O (0.588, 0.698, 0.448)
Ti (0.208, 0.875, 0.098)
Co (0.000, 0.750, 0.750)
Ti (0.792, 0.625, 0.402)
P (0.496, 0.314, 0.436)
O (0.176, 0.961, 0.454)
O (0.676, 0.454, 0.461)
O (0.324, 0.046, 0.039)
O (0.088, 0.448, 0.198)
P (0.504, 0.186, 0.064)
O (0.501, 0.945, 0.286)
O (0.683, 0.699, 0.703)
O (0.500, 0.055, 0.714)
Co (0.500, 0.250, 0.750)
O (0.000, 0.786, 0.945)

---

Entry 2:
Computed, not measured: crystalline CaZrNbFeO7 at its relaxed geometry at the GGA+U level of DFT.

- SG: P-1, No. 2
- Energy with MP2020 corrections: -8.859 eV per atom

a b c (Å): 7.388 7.414 11.597
angles (deg): 81.33 81.03 61.08
Element x y z (fractional)
O (0.939, 0.834, 0.292)
O (0.881, 0.122, 0.078)
Ca (0.498, 0.747, 0.497)
Ca (0.502, 0.253, 0.503)
O (0.108, 0.477, 0.585)
O (0.119, 0.878, 0.922)
O (0.332, 0.606, 0.401)
O (0.558, 0.231, 0.286)
O (0.061, 0.166, 0.708)
O (0.576, 0.830, 0.290)
O (0.812, 0.559, 0.786)
Nb (0.888, 0.615, 0.245)
O (0.529, 0.891, 0.915)
O (0.751, 0.450, 0.219)
O (0.471, 0.109, 0.085)
O (0.125, 0.289, 0.929)
Nb (0.112, 0.385, 0.755)
O (0.160, 0.068, 0.207)
Zr (0.763, 0.009, 0.973)
O (0.249, 0.550, 0.781)
O (0.442, 0.769, 0.714)
Fe (0.864, 0.134, 0.251)
O (0.892, 0.523, 0.415)
O (0.875, 0.711, 0.071)
O (0.609, 0.328, 0.905)
Ca (0.747, 0.497, 0.002)
O (0.424, 0.170, 0.710)
Nb (0.380, 0.108, 0.256)
O (0.840, 0.932, 0.793)
Zr (0.010, 0.764, 0.471)
Ca (0.253, 0.503, 0.998)
O (0.876, 0.119, 0.423)
O (0.124, 0.881, 0.577)
O (0.668, 0.394, 0.599)
Nb (0.620, 0.892, 0.744)
O (0.391, 0.672, 0.095)
Fe (0.136, 0.866, 0.749)
Fe (0.430, 0.533, 0.246)
Fe (0.570, 0.467, 0.754)
O (0.284, 0.128, 0.430)
O (0.716, 0.872, 0.570)
Zr (0.990, 0.236, 0.529)
O (0.188, 0.441, 0.214)
Zr (0.237, 0.991, 0.027)

---

Entry 3:
Computed, not measured: crystalline Li2V2SiGeO10 at its relaxed geometry at the GGA+U level of DFT.

- SG: Pm, No. 6
- Energy with MP2020 corrections: -7.568 eV per atom

a b c (Å): 6.383 4.654 6.482
angles (deg): 87.56 90.00 90.00
Element x y z (fractional)
O (0.500, 0.668, 0.959)
Ge (0.000, 0.501, 0.254)
V (0.000, 0.389, 0.756)
O (0.000, 0.740, 0.731)
Li (0.258, 0.000, 0.508)
Li (0.742, 0.000, 0.508)
O (0.221, 0.730, 0.266)
O (0.000, 0.297, 0.030)
O (0.290, 0.294, 0.730)
V (0.500, 0.611, 0.237)
Si (0.500, 0.498, 0.740)
O (0.500, 0.736, 0.547)
O (0.779, 0.730, 0.266)
O (0.500, 0.261, 0.275)
O (0.000, 0.248, 0.465)
O (0.710, 0.294, 0.730)

---

Entry 4:
Computed, not measured: crystalline Sr2V3Se5O18 at its relaxed geometry at the GGA+U level of DFT.

- SG: Pnma, No. 62
- Energy with MP2020 corrections: -6.923 eV per atom

a b c (Å): 9.204 10.819 17.260
angles (deg): 90.00 90.00 90.00
Element x y z (fractional)
O (0.649, 0.067, 0.718)
V (0.031, 0.007, 0.160)
V (0.531, 0.993, 0.340)
O (0.468, 0.884, 0.062)
Se (0.184, 0.981, 0.548)
O (0.851, 0.433, 0.218)
Se (0.316, 0.519, 0.048)
Se (0.179, 0.519, 0.314)
O (0.359, 0.394, 0.750)
O (0.602, 0.870, 0.632)
O (0.898, 0.630, 0.132)
O (0.851, 0.067, 0.218)
O (0.141, 0.394, 0.250)
V (0.978, 0.750, 0.481)
O (0.102, 0.130, 0.868)
O (0.578, 0.119, 0.241)
O (0.532, 0.116, 0.938)
Sr (0.884, 0.250, 0.310)
Sr (0.857, 0.750, 0.284)
O (0.962, 0.606, 0.912)
O (0.898, 0.870, 0.132)
Se (0.398, 0.250, 0.437)
Se (0.898, 0.750, 0.063)
O (0.119, 0.383, 0.590)
O (0.619, 0.617, 0.910)
O (0.602, 0.630, 0.632)
O (0.578, 0.381, 0.241)
O (0.422, 0.619, 0.759)
O (0.962, 0.894, 0.912)
O (0.282, 0.584, 0.623)
O (0.367, 0.750, 0.932)
V (0.469, 0.493, 0.660)
O (0.881, 0.617, 0.410)
O (0.968, 0.384, 0.438)
Se (0.816, 0.481, 0.452)
O (0.783, 0.750, 0.544)
O (0.351, 0.933, 0.282)
O (0.032, 0.616, 0.562)
O (0.922, 0.381, 0.741)
Sr (0.357, 0.250, 0.216)
Se (0.102, 0.250, 0.937)
Sr (0.143, 0.250, 0.716)
O (0.859, 0.894, 0.750)
O (0.381, 0.383, 0.090)
Se (0.684, 0.481, 0.952)
O (0.532, 0.384, 0.938)
Se (0.821, 0.481, 0.686)
O (0.641, 0.606, 0.250)
O (0.881, 0.883, 0.410)
O (0.867, 0.250, 0.568)
O (0.398, 0.130, 0.368)
Se (0.821, 0.019, 0.686)
V (0.022, 0.250, 0.519)
O (0.078, 0.881, 0.259)
Se (0.816, 0.019, 0.452)
O (0.633, 0.250, 0.068)
O (0.649, 0.433, 0.718)
O (0.149, 0.933, 0.782)
Se (0.684, 0.019, 0.952)
Se (0.321, 0.519, 0.814)
V (0.522, 0.750, 0.981)
O (0.359, 0.106, 0.750)
V (0.531, 0.507, 0.340)
O (0.462, 0.106, 0.588)
O (0.149, 0.567, 0.782)
Sr (0.116, 0.750, 0.690)
O (0.351, 0.567, 0.282)
O (0.619, 0.883, 0.910)
O (0.468, 0.616, 0.062)
O (0.282, 0.916, 0.623)
O (0.538, 0.894, 0.412)
O (0.398, 0.370, 0.368)
Sr (0.616, 0.250, 0.810)
V (0.469, 0.007, 0.660)
O (0.032, 0.884, 0.562)
O (0.859, 0.606, 0.750)
O (0.782, 0.084, 0.877)
O (0.102, 0.370, 0.868)
O (0.538, 0.606, 0.412)
Se (0.321, 0.981, 0.814)
O (0.922, 0.119, 0.741)
O (0.641, 0.894, 0.250)
Se (0.184, 0.519, 0.548)
Sr (0.643, 0.750, 0.784)
O (0.718, 0.084, 0.377)
O (0.038, 0.106, 0.088)
Se (0.679, 0.019, 0.186)
O (0.462, 0.394, 0.588)
Sr (0.384, 0.750, 0.190)
V (0.478, 0.250, 0.019)
O (0.422, 0.881, 0.759)
O (0.782, 0.416, 0.877)
O (0.119, 0.117, 0.590)
O (0.038, 0.394, 0.088)
O (0.141, 0.106, 0.250)
Se (0.679, 0.481, 0.186)
O (0.133, 0.750, 0.432)
Se (0.602, 0.750, 0.563)
Se (0.316, 0.981, 0.048)
O (0.078, 0.619, 0.259)
Se (0.179, 0.981, 0.314)
O (0.381, 0.117, 0.090)
O (0.218, 0.584, 0.123)
V (0.031, 0.493, 0.160)
O (0.283, 0.250, 0.956)
O (0.218, 0.916, 0.123)
O (0.717, 0.750, 0.044)
O (0.968, 0.116, 0.438)
V (0.969, 0.507, 0.840)
V (0.969, 0.993, 0.840)
O (0.718, 0.416, 0.377)
O (0.217, 0.250, 0.456)

---

Entry 5:
Computed, not measured: crystalline V2Co2PbO8 at its relaxed geometry at the GGA+U level of DFT.

- SG: I4_1cd, No. 110
- Energy with MP2020 corrections: -7.766 eV per atom

a b c (Å): 8.589 9.866 9.866
angles (deg): 79.08 64.20 64.20
Element x y z (fractional)
O (0.854, 0.821, 0.171)
Co (0.147, 0.997, 0.339)
O (0.925, 0.671, 0.679)
Co (0.647, 0.339, 0.997)
O (0.142, 0.843, 0.526)
V (0.461, 0.159, 0.318)
O (0.234, 0.666, 0.987)
Co (0.736, 0.161, 0.497)
Pb (0.983, 0.000, 0.000)
O (0.418, 0.343, 0.974)
O (0.946, 0.846, 0.856)
V (0.369, 0.341, 0.818)
O (0.972, 0.166, 0.513)
O (0.552, 0.346, 0.644)
O (0.354, 0.171, 0.821)
O (0.151, 0.487, 0.834)
O (0.472, 0.513, 0.166)
Pb (0.733, 0.500, 0.500)
V (0.437, 0.682, 0.841)
V (0.961, 0.318, 0.159)
V (0.937, 0.841, 0.682)
O (0.734, 0.987, 0.666)
O (0.642, 0.526, 0.843)
O (0.148, 0.144, 0.154)
V (0.529, 0.659, 0.182)
Co (0.395, 0.839, 0.503)
O (0.235, 0.026, 0.657)
V (0.869, 0.818, 0.341)
O (0.010, 0.474, 0.157)
O (0.846, 0.179, 0.829)
O (0.651, 0.834, 0.487)
Co (0.895, 0.503, 0.839)
O (0.425, 0.679, 0.671)
Co (0.483, 0.003, 0.661)
O (0.052, 0.644, 0.346)
O (0.542, 0.654, 0.356)
O (0.648, 0.154, 0.144)
V (0.029, 0.182, 0.659)
Co (0.983, 0.661, 0.003)
O (0.775, 0.321, 0.329)
Pb (0.483, 0.000, 0.000)
O (0.446, 0.856, 0.846)
O (0.275, 0.329, 0.321)
O (0.888, 0.334, 0.013)
Pb (0.233, 0.500, 0.500)
O (0.388, 0.013, 0.334)
O (0.042, 0.356, 0.654)
O (0.918, 0.974, 0.343)
O (0.735, 0.657, 0.026)
Co (0.236, 0.497, 0.161)
O (0.510, 0.157, 0.474)
O (0.346, 0.829, 0.179)

---

Entry 6:
Computed, not measured: crystalline Mn3O2F4 at its relaxed geometry at the GGA+U level of DFT.

- SG: P2_1, No. 4
- Energy with MP2020 corrections: -7.518 eV per atom

a b c (Å): 4.762 5.801 8.000
angles (deg): 86.43 90.00 90.00
Element x y z (fractional)
Mn (0.526, 0.905, 0.326)
Mn (0.998, 0.429, 0.352)
F (0.194, 0.714, 0.229)
O (0.693, 0.614, 0.431)
Mn (0.490, 0.229, 0.001)
F (0.305, 0.546, 0.896)
F (0.694, 0.286, 0.771)
F (0.310, 0.886, 0.546)
Mn (0.990, 0.771, 0.999)
Mn (0.026, 0.095, 0.674)
O (0.188, 0.044, 0.894)
Mn (0.498, 0.571, 0.648)
O (0.193, 0.386, 0.569)
F (0.810, 0.114, 0.454)
F (0.795, 0.787, 0.751)
O (0.688, 0.956, 0.106)
F (0.295, 0.213, 0.249)
F (0.805, 0.454, 0.104)

---

Entry 7:
Computed, not measured: crystalline Li9Mn2Co5O16 at its relaxed geometry at the GGA+U level of DFT.

- SG: Cm, No. 8
- Energy with MP2020 corrections: -6.483 eV per atom

a b c (Å): 9.875 9.875 10.373
angles (deg): 83.25 83.25 16.76
Element x y z (fractional)
O (0.308, 0.308, 0.296)
O (0.443, 0.443, 0.084)
O (0.192, 0.192, 0.453)
O (0.058, 0.058, 0.662)
Li (0.627, 0.627, 0.058)
O (0.188, 0.188, 0.982)
O (0.943, 0.943, 0.837)
O (0.054, 0.054, 0.167)
Li (0.875, 0.875, 0.694)
O (0.944, 0.944, 0.335)
O (0.556, 0.556, 0.914)
O (0.691, 0.691, 0.710)
Li (0.126, 0.126, 0.311)
Co (0.500, 0.500, 0.254)
Li (0.368, 0.368, 0.929)
O (0.556, 0.556, 0.415)
Co (0.501, 0.501, 0.746)
Li (0.750, 0.750, 0.875)
Co (0.246, 0.246, 0.105)
Co (0.254, 0.254, 0.645)
O (0.802, 0.802, 0.525)
O (0.311, 0.311, 0.768)
Mn (0.750, 0.750, 0.375)
Li (0.873, 0.873, 0.182)
Mn (0.998, 0.998, 0.999)
O (0.698, 0.698, 0.225)
O (0.447, 0.447, 0.586)
O (0.809, 0.809, 0.041)
Co (0.002, 0.002, 0.500)
Li (0.374, 0.374, 0.439)
Li (0.626, 0.626, 0.569)
Li (0.132, 0.132, 0.818)

---

Entry 8:
Computed, not measured: crystalline Na2LiMnPCO7 at its relaxed geometry at the GGA+U level of DFT.

- SG: P1, No. 1
- Energy with MP2020 corrections: -7.221 eV per atom

a b c (Å): 6.785 8.863 10.249
angles (deg): 90.80 90.19 90.78
Element x y z (fractional)
Mn (0.752, 0.637, 0.387)
O (0.747, 0.564, 0.590)
P (0.753, 0.409, 0.146)
P (0.245, 0.586, 0.855)
O (0.776, 0.096, 0.834)
O (0.230, 0.422, 0.908)
Na (0.241, 0.917, 0.879)
P (0.753, 0.404, 0.650)
Na (0.500, 0.743, 0.623)
Na (0.501, 0.255, 0.875)
C (0.751, 0.948, 0.363)
Na (0.502, 0.256, 0.377)
O (0.253, 0.430, 0.409)
O (0.769, 0.572, 0.090)
Mn (0.247, 0.358, 0.613)
O (0.563, 0.323, 0.102)
O (0.250, 0.117, 0.019)
O (0.435, 0.684, 0.388)
Na (0.501, 0.745, 0.126)
P (0.246, 0.591, 0.351)
C (0.240, 0.052, 0.132)
Li (0.765, 0.089, 0.125)
O (0.435, 0.671, 0.900)
C (0.249, 0.058, 0.634)
Na (0.244, 0.917, 0.378)
O (0.069, 0.683, 0.902)
Mn (0.246, 0.356, 0.110)
O (0.755, 0.843, 0.274)
O (0.746, 0.088, 0.327)
O (0.244, 0.574, 0.703)
O (0.247, 0.120, 0.519)
O (0.245, 0.138, 0.237)
Li (0.026, 0.725, 0.116)
Na (0.999, 0.254, 0.376)
O (0.067, 0.682, 0.402)
O (0.929, 0.308, 0.601)
Li (0.760, 0.092, 0.628)
O (0.756, 0.424, 0.297)
O (0.566, 0.308, 0.615)
C (0.759, 0.956, 0.867)
O (0.246, 0.145, 0.737)
Mn (0.752, 0.640, 0.890)
O (0.753, 0.914, 0.487)
O (0.769, 0.423, 0.802)
O (0.226, 0.907, 0.141)
Li (0.977, 0.272, 0.883)
Na (0.999, 0.745, 0.624)
O (0.752, 0.852, 0.775)
O (0.231, 0.575, 0.198)
O (0.748, 0.917, 0.989)
O (0.253, 0.913, 0.645)
O (0.926, 0.306, 0.100)